A plane-wave DFT calculation with GGA+U was carried out for an optimized crystal structure of Sm2CoTe2S2O14.

Cell lengths 5.372, 8.025, 8.298 Å; angles 64.34, 72.91, 86.20 degrees
Space group P-1 (No. 2)
Unique sites:
Sm1 0.090 0.251 0.016 x2
Co1 0.000 0.000 0.500 x1
Te1 0.479 0.732 0.659 x2
S1 0.225 0.754 0.251 x2
O1 0.084 0.597 0.258 x2
O2 0.124 0.777 0.426 x2
O3 0.178 0.922 0.088 x2
O4 0.247 0.923 0.664 x2
O5 0.249 0.566 0.893 x2
O6 0.279 0.190 0.255 x2
O7 0.492 0.274 0.782 x2

Properties
calculated formation energy: -48.97 eV per formula unit